No. 1
The following is a PBE calculation of crystalline FeH12C4NCl4 at its relaxed geometry, from the Materials Project database.

Structure (CIF):
```
data_FeH12C4NCl4
_chemical_formula_sum 'Fe2 H24 C8 N2 Cl8'
_symmetry_space_group_name_H-M 'P 1'
_symmetry_Int_Tables_number 1
_symmetry_space_group_name_Hall 'P 1'
_cell_length_a 6.5966
_cell_length_b 6.6986
_cell_length_c 14.6695
_cell_angle_alpha 90.00
_cell_angle_beta 90.00
_cell_angle_gamma 90.00
loop_
_atom_site_label
_atom_site_type_symbol
_atom_site_fract_x
_atom_site_fract_y
_atom_site_fract_z
_atom_site_occupancy
H1 H 0.9235 0.3900 0.6266 1
Cl1 Cl 0.5416 0.0871 0.6241 1
H2 H 0.7629 0.6266 0.9072 1
Cl2 Cl 0.4950 0.6228 0.7500 1
H3 H 0.8997 0.2557 0.0572 1
H4 H 0.1480 0.8213 0.4796 1
Fe1 Fe 0.4217 0.9490 0.7500 1
H5 H 0.8520 0.8213 0.9796 1
H6 H 0.8997 0.2557 0.4428 1
C1 C 0.8153 0.6635 0.9759 1
C2 C 0.1847 0.6635 0.0241 1
H7 H 0.0765 0.3900 0.3734 1
Fe2 Fe 0.5783 0.9490 0.2500 1
Cl3 Cl 0.4584 0.0871 0.1241 1
C3 C 0.1847 0.6635 0.4759 1
C4 C 0.0552 0.4033 0.5815 1
H8 H 0.6942 0.6298 0.4753 1
N1 N 0.0000 0.5348 0.0000 1
H9 H 0.9235 0.3900 0.8734 1
C5 C 0.8153 0.6635 0.5241 1
Cl4 Cl 0.4584 0.0871 0.3759 1
H10 H 0.1003 0.2557 0.5572 1
H11 H 0.6942 0.6298 0.0247 1
Cl5 Cl 0.5050 0.6228 0.2500 1
H12 H 0.1810 0.4713 0.6185 1
H13 H 0.1480 0.8213 0.0204 1
H14 H 0.8190 0.4713 0.1185 1
C6 C 0.0552 0.4033 0.9185 1
C7 C 0.9448 0.4033 0.4185 1
H15 H 0.2371 0.6266 0.0928 1
H16 H 0.2371 0.6266 0.4072 1
Cl6 Cl 0.9133 0.9831 0.2500 1
Cl7 Cl 0.0867 0.9831 0.7500 1
H17 H 0.3058 0.6298 0.9753 1
H18 H 0.0765 0.3900 0.1266 1
H19 H 0.8520 0.8213 0.5204 1
H20 H 0.7629 0.6266 0.5928 1
H21 H 0.1003 0.2557 0.9428 1
Cl8 Cl 0.5416 0.0871 0.8759 1
H22 H 0.8190 0.4713 0.3815 1
C8 C 0.9448 0.4033 0.0815 1
H23 H 0.1810 0.4713 0.8815 1
N2 N 0.0000 0.5348 0.5000 1
H24 H 0.3058 0.6298 0.5247 1
```

Output
ΔH_f (0 K) (meV/atom): -434



No. 2
The following is a PBE calculation of crystalline Fe3H6C6N6Cl8 at its relaxed geometry, from the Materials Project database.

Structure (CIF):
```
data_Fe3H6C6N6Cl8
_chemical_formula_sum 'Fe3 H6 C6 N6 Cl8'
_symmetry_space_group_name_H-M 'P 1'
_symmetry_Int_Tables_number 1
_symmetry_space_group_name_Hall 'P 1'
_cell_length_a 9.9549
_cell_length_b 9.9549
_cell_length_c 6.1526
_cell_angle_alpha 90.00
_cell_angle_beta 90.00
_cell_angle_gamma 120.00
loop_
_atom_site_label
_atom_site_type_symbol
_atom_site_fract_x
_atom_site_fract_y
_atom_site_fract_z
_atom_site_occupancy
N1 N 0.1349 0.9607 0.8272 1
Cl1 Cl 0.6667 0.3333 0.2186 1
Cl2 Cl 0.8928 0.5201 0.7427 1
Cl3 Cl 0.3333 0.6667 0.7814 1
C1 C 0.0630 0.2854 0.7351 1
N2 N 0.9607 0.8257 0.1728 1
C2 C 0.7776 0.0630 0.2649 1
C3 C 0.2224 0.9370 0.7351 1
Cl4 Cl 0.3727 0.8928 0.2573 1
Cl5 Cl 0.5201 0.6273 0.2573 1
H1 H 0.9140 0.6096 0.3497 1
H2 H 0.3043 0.9140 0.6503 1
C4 C 0.9370 0.7146 0.2649 1
C5 C 0.7146 0.7776 0.7351 1
H3 H 0.6957 0.0860 0.3497 1
H4 H 0.6096 0.6957 0.6503 1
Cl6 Cl 0.4799 0.3727 0.7427 1
H5 H 0.3904 0.3043 0.3497 1
N3 N 0.8257 0.8651 0.8272 1
Fe1 Fe 0.6667 0.3333 0.8589 1
Fe2 Fe 0.0000 0.0000 0.0000 1
H6 H 0.0860 0.3904 0.6503 1
C6 C 0.2854 0.2224 0.2649 1
Cl7 Cl 0.1072 0.4799 0.2573 1
N4 N 0.8651 0.0393 0.1728 1
N5 N 0.1743 0.1349 0.1728 1
Fe3 Fe 0.3333 0.6667 0.1411 1
Cl8 Cl 0.6273 0.1072 0.7427 1
N6 N 0.0393 0.1743 0.8272 1
```

Output
ΔH_f (0 K) (meV/atom): -336



No. 3
The following is a PBE calculation of crystalline FeH24C8N2Cl4 at its relaxed geometry, from the Materials Project database.

Structure (CIF):
```
data_FeH24C8N2Cl4
_chemical_formula_sum 'Fe4 H96 C32 N8 Cl16'
_symmetry_space_group_name_H-M 'P 1'
_symmetry_Int_Tables_number 1
_symmetry_space_group_name_Hall 'P 1'
_cell_length_a 9.1659
_cell_length_b 12.5431
_cell_length_c 15.6370
_cell_angle_alpha 90.00
_cell_angle_beta 90.00
_cell_angle_gamma 90.00
loop_
_atom_site_label
_atom_site_type_symbol
_atom_site_fract_x
_atom_site_fract_y
_atom_site_fract_z
_atom_site_occupancy
H1 H 0.3482 0.2959 0.9344 1
H2 H 0.3486 0.1401 0.0237 1
H3 H 0.6524 0.1049 0.7678 1
H4 H 0.6514 0.8599 0.9763 1
H5 H 0.2500 0.0225 0.9923 1
H6 H 0.7500 0.9775 0.0077 1
H7 H 0.8478 0.1486 0.6212 1
H8 H 0.1514 0.6401 0.4763 1
H9 H 0.7500 0.9913 0.8090 1
Cl1 Cl 0.9569 0.6998 0.3415 1
H10 H 0.2500 0.4338 0.0450 1
C1 C 0.7500 0.8903 0.0080 1
H11 H 0.5204 0.3574 0.3875 1
C2 C 0.7500 0.0551 0.7613 1
H12 H 0.8476 0.6049 0.7322 1
C3 C 0.3828 0.6102 0.6445 1
H13 H 0.3478 0.8514 0.3788 1
H14 H 0.8748 0.9061 0.5951 1
C4 C 0.2500 0.7688 0.5989 1
H15 H 0.6522 0.6486 0.8788 1
H16 H 0.6518 0.7041 0.0656 1
H17 H 0.2500 0.9338 0.4550 1
C5 C 0.1162 0.5576 0.1584 1
Cl2 Cl 0.9569 0.1998 0.1585 1
Fe1 Fe 0.2500 0.2444 0.5930 1
N1 N 0.7500 0.0094 0.6725 1
H18 H 0.2500 0.0087 0.1910 1
C6 C 0.2500 0.4449 0.2613 1
C7 C 0.2500 0.3998 0.1098 1
C8 C 0.8838 0.4424 0.8416 1
H19 H 0.8902 0.8804 0.7077 1
C9 C 0.3828 0.1102 0.8555 1
H20 H 0.7500 0.5662 0.9550 1
C10 C 0.1162 0.0576 0.3416 1
H21 H 0.8844 0.9771 0.1429 1
H22 H 0.3476 0.8951 0.2322 1
H23 H 0.6098 0.8804 0.7077 1
H24 H 0.1518 0.2959 0.9344 1
H25 H 0.4796 0.1426 0.8875 1
H26 H 0.5189 0.4930 0.8384 1
H27 H 0.5189 0.9930 0.6616 1
Cl3 Cl 0.2500 0.0647 0.5970 1
H28 H 0.8486 0.8599 0.9763 1
H29 H 0.7500 0.0662 0.5450 1
H30 H 0.3902 0.1196 0.2923 1
H31 H 0.3748 0.0939 0.4049 1
H32 H 0.7500 0.7036 0.1655 1
H33 H 0.8482 0.7041 0.0656 1
H34 H 0.2500 0.2964 0.8345 1
C11 C 0.7500 0.2312 0.4011 1
C12 C 0.8838 0.9424 0.6584 1
C13 C 0.1172 0.6102 0.6445 1
C14 C 0.7500 0.5551 0.7387 1
C15 C 0.2500 0.6097 0.5080 1
H35 H 0.8748 0.4061 0.9049 1
H36 H 0.8902 0.3804 0.7923 1
H37 H 0.1252 0.5939 0.0951 1
Cl4 Cl 0.7500 0.1854 0.9599 1
H38 H 0.1518 0.7959 0.5656 1
C16 C 0.2500 0.1097 0.9920 1
H39 H 0.8482 0.2041 0.4344 1
H40 H 0.9811 0.9930 0.6616 1
H41 H 0.7500 0.2036 0.3345 1
H42 H 0.0189 0.5070 0.1616 1
C17 C 0.8828 0.8898 0.1445 1
Cl5 Cl 0.0431 0.8002 0.8415 1
Cl6 Cl 0.2500 0.5647 0.9030 1
C18 C 0.6162 0.9424 0.6584 1
H43 H 0.3478 0.3514 0.1212 1
H44 H 0.1252 0.0939 0.4049 1
C19 C 0.7500 0.7312 0.0989 1
H45 H 0.2500 0.7964 0.6655 1
H46 H 0.2500 0.5225 0.5077 1
N2 N 0.2500 0.6493 0.5987 1
H47 H 0.9796 0.3574 0.3875 1
H48 H 0.6156 0.9771 0.1429 1
C20 C 0.2500 0.9449 0.2387 1
H49 H 0.6514 0.3599 0.5237 1
H50 H 0.1230 0.1385 0.7893 1
N3 N 0.7500 0.3507 0.4013 1
Cl7 Cl 0.4569 0.3002 0.6585 1
H51 H 0.7500 0.4913 0.6910 1
N4 N 0.2500 0.4906 0.1725 1
H52 H 0.3486 0.6401 0.4763 1
H53 H 0.4811 0.5070 0.1616 1
Fe2 Fe 0.7500 0.2556 0.0930 1
H54 H 0.6230 0.3615 0.2893 1
Cl8 Cl 0.2500 0.3146 0.4599 1
H55 H 0.9796 0.8574 0.1125 1
C21 C 0.3838 0.5576 0.1584 1
H56 H 0.1522 0.3514 0.1212 1
H57 H 0.3482 0.7959 0.5656 1
Fe3 Fe 0.2500 0.7444 0.9070 1
H58 H 0.3844 0.5229 0.6429 1
H59 H 0.9811 0.4930 0.8384 1
Cl9 Cl 0.0431 0.3002 0.6585 1
C22 C 0.6162 0.4424 0.8416 1
H60 H 0.6098 0.3804 0.7923 1
C23 C 0.7500 0.6002 0.8902 1
H61 H 0.8486 0.3599 0.5237 1
H62 H 0.5204 0.8574 0.1125 1
Cl10 Cl 0.2500 0.8146 0.0401 1
H63 H 0.8770 0.8615 0.2107 1
C24 C 0.3838 0.0576 0.3416 1
N5 N 0.7500 0.8507 0.0987 1
H64 H 0.6518 0.2041 0.4344 1
H65 H 0.3770 0.1385 0.7893 1
H66 H 0.4811 0.0070 0.3384 1
H67 H 0.1230 0.6385 0.7107 1
Fe4 Fe 0.7500 0.7556 0.4070 1
N6 N 0.2500 0.9906 0.3275 1
H68 H 0.3902 0.6196 0.2077 1
C25 C 0.6172 0.8898 0.1445 1
C26 C 0.7500 0.3903 0.4920 1
H69 H 0.3476 0.3951 0.2678 1
C27 C 0.7500 0.1002 0.6098 1
H70 H 0.6252 0.9061 0.5951 1
H71 H 0.6230 0.8615 0.2107 1
C28 C 0.2500 0.2688 0.9011 1
H72 H 0.1156 0.5229 0.6429 1
Cl11 Cl 0.7500 0.4353 0.0970 1
H73 H 0.8476 0.1049 0.7678 1
H74 H 0.8770 0.3615 0.2893 1
H75 H 0.6522 0.1486 0.6212 1
H76 H 0.1098 0.1196 0.2923 1
H77 H 0.3770 0.6385 0.7107 1
C29 C 0.2500 0.8998 0.3902 1
H78 H 0.0204 0.6426 0.6125 1
H79 H 0.1514 0.1401 0.0237 1
H80 H 0.1098 0.6196 0.2077 1
C30 C 0.1172 0.1102 0.8555 1
N7 N 0.2500 0.1493 0.9013 1
C31 C 0.6172 0.3898 0.3555 1
H81 H 0.1156 0.0229 0.8571 1
Cl12 Cl 0.5431 0.6998 0.3415 1
Cl13 Cl 0.4569 0.8002 0.8415 1
H82 H 0.3748 0.5939 0.0951 1
H83 H 0.1522 0.8514 0.3788 1
Cl14 Cl 0.7500 0.6854 0.5401 1
H84 H 0.0189 0.0070 0.3384 1
H85 H 0.3844 0.0229 0.8571 1
H86 H 0.2500 0.5087 0.3090 1
H87 H 0.7500 0.4775 0.4923 1
H88 H 0.1524 0.3951 0.2678 1
Cl15 Cl 0.7500 0.9353 0.4030 1
C32 C 0.8828 0.3898 0.3555 1
H89 H 0.4796 0.6426 0.6125 1
H90 H 0.8844 0.4771 0.3571 1
H91 H 0.6156 0.4771 0.3571 1
H92 H 0.6252 0.4061 0.9049 1
N8 N 0.7500 0.5094 0.8275 1
H93 H 0.8478 0.6486 0.8788 1
H94 H 0.0204 0.1426 0.8875 1
H95 H 0.6524 0.6049 0.7322 1
H96 H 0.1524 0.8951 0.2322 1
Cl16 Cl 0.5431 0.1998 0.1585 1
```

Output
ΔH_f (0 K) (meV/atom): -294



No. 4
The following is a PBE calculation of crystalline GaSi3PH30C10N2Cl4 at its relaxed geometry, from the Materials Project database.

Structure (CIF):
```
data_GaSi3PH30C10N2Cl4
_chemical_formula_sum 'Ga2 Si6 P2 H60 C20 N4 Cl8'
_symmetry_space_group_name_H-M 'P 1'
_symmetry_Int_Tables_number 1
_symmetry_space_group_name_Hall 'P 1'
_cell_length_a 8.9606
_cell_length_b 13.3486
_cell_length_c 11.5443
_cell_angle_alpha 90.00
_cell_angle_beta 99.64
_cell_angle_gamma 90.00
loop_
_atom_site_label
_atom_site_type_symbol
_atom_site_fract_x
_atom_site_fract_y
_atom_site_fract_z
_atom_site_occupancy
Cl1 Cl 0.1464 0.8626 0.7862 1
H1 H 0.4871 0.3494 0.6559 1
H2 H 0.9730 0.0963 0.2109 1
H3 H 0.3882 0.4362 0.9847 1
Si1 Si 0.6411 0.6629 0.6990 1
H4 H 0.7213 0.7104 0.5070 1
H5 H 0.5199 0.4667 0.4703 1
H6 H 0.1252 0.5917 0.9384 1
H7 H 0.3957 0.4642 0.6804 1
C1 C 0.5603 0.8936 0.2792 1
Si2 Si 0.4205 0.9124 0.1422 1
Si3 Si 0.7806 0.4741 0.5883 1
H8 H 0.8887 0.3181 0.6909 1
H9 H 0.2247 0.2666 0.1346 1
H10 H 0.4366 0.9871 0.9460 1
H11 H 0.3497 0.1793 0.0827 1
H12 H 0.6043 0.9642 0.3196 1
H13 H 0.6941 0.3007 0.6313 1
Cl2 Cl 0.7940 0.6309 0.1835 1
H14 H 0.1113 0.8181 0.3091 1
H15 H 0.3366 0.9530 0.6184 1
Cl3 Cl 0.8536 0.3626 0.2138 1
Cl4 Cl 0.1673 0.5243 0.1957 1
H16 H 0.3689 0.6269 0.7081 1
H17 H 0.5982 0.1183 0.4398 1
C2 C 0.0331 0.0193 0.4468 1
H18 H 0.4018 0.6183 0.5602 1
H19 H 0.4219 0.2874 0.1624 1
H20 H 0.3910 0.7371 0.6280 1
H21 H 0.5510 0.0545 0.0608 1
C3 C 0.9669 0.5193 0.5532 1
C4 C 0.3696 0.9946 0.5441 1
H22 H 0.6184 0.5733 0.4288 1
C5 C 0.4877 0.4794 0.9694 1
P1 P 0.0999 0.9973 0.0801 1
Si4 Si 0.5795 0.4124 0.8578 1
Ga1 Ga 0.9239 0.5021 0.1380 1
N1 N 0.2730 0.0404 0.2884 1
C6 C 0.5686 0.1595 0.3569 1
C7 C 0.2668 0.2415 0.4039 1
Si5 Si 0.3589 0.1629 0.3010 1
H23 H 0.5534 0.2432 0.9310 1
H24 H 0.2936 0.7465 0.1488 1
Si6 Si 0.2194 0.9741 0.4117 1
C8 C 0.7332 0.7415 0.5961 1
Cl5 Cl 0.0422 0.3773 0.8988 1
C9 C 0.3481 0.7874 0.0850 1
H25 H 0.0270 0.5963 0.7891 1
N2 N 0.7270 0.5404 0.7116 1
H26 H 0.8537 0.7536 0.6300 1
Cl6 Cl 0.2060 0.1309 0.8165 1
H27 H 0.6558 0.8509 0.2550 1
H28 H 0.0160 0.9861 0.5311 1
C10 C 0.6655 0.7288 0.8444 1
H29 H 0.3816 0.0733 0.5712 1
H30 H 0.6781 0.8155 0.5896 1
Ga2 Ga 0.0761 0.0021 0.8620 1
H31 H 0.5781 0.7874 0.8376 1
C11 C 0.4397 0.3936 0.7208 1
H32 H 0.7753 0.7666 0.8654 1
H33 H 0.0624 0.4952 0.6199 1
C12 C 0.7994 0.3361 0.6167 1
H34 H 0.0360 0.1715 0.0991 1
C13 C 0.5123 0.9794 0.0306 1
H35 H 0.9710 0.6009 0.5437 1
C14 C 0.4314 0.6595 0.6431 1
H36 H 0.4490 0.5545 0.9392 1
C15 C 0.2006 0.8361 0.3833 1
H37 H 0.6503 0.6793 0.9173 1
H38 H 0.8315 0.3011 0.5379 1
H39 H 0.9640 0.6715 0.9009 1
H40 H 0.6311 0.1269 0.2919 1
H41 H 0.5129 0.8494 0.3441 1
H42 H 0.6090 0.2371 0.3720 1
H43 H 0.6118 0.9362 0.0153 1
H44 H 0.7064 0.2465 0.8512 1
H45 H 0.9376 0.9952 0.3801 1
H46 H 0.8748 0.0917 0.0616 1
H47 H 0.2787 0.2104 0.4930 1
H48 H 0.2695 0.7925 0.0014 1
H49 H 0.4466 0.7432 0.0690 1
H50 H 0.1685 0.8011 0.4621 1
C16 C 0.3345 0.2288 0.1556 1
Cl7 Cl 0.8327 0.0243 0.8043 1
H51 H 0.5634 0.4871 0.0540 1
H52 H 0.3442 0.3509 0.7450 1
H53 H 0.3059 0.8007 0.3687 1
Cl8 Cl 0.9578 0.8773 0.1012 1
H54 H 0.9840 0.4861 0.4689 1
C17 C 0.6519 0.2874 0.9150 1
H55 H 0.0290 0.1009 0.4563 1
C18 C 0.9856 0.1001 0.1179 1
N3 N 0.7374 0.4905 0.8250 1
H56 H 0.1463 0.2536 0.3700 1
C19 C 0.6304 0.4946 0.4559 1
H57 H 0.7305 0.2925 0.9986 1
C20 C 0.0144 0.6001 0.8821 1
H58 H 0.4801 0.9667 0.5297 1
N4 N 0.2626 0.9905 0.1750 1
P2 P 0.9001 0.4973 0.9199 1
H59 H 0.6634 0.4530 0.3816 1
H60 H 0.3219 0.3155 0.4104 1
```

Output
ΔH_f (0 K) (meV/atom): -350